An optimized crystal structure of CeSn2Pt2. Source: the Materials Project database, functional PBE-GGA.

Values from the calculation:
M_tot, μB per formula unit: 0.93
Total energy, eV/atom: -6.008
Formation enthalpy at 0 K, eV per formula unit: -3.95

a = 4.6306 Å, b = 4.6306 Å, c = 10.5864 Å
α = 90.00°, β = 90.00°, γ = 90.00°
Space group P4/nmm (No. 129, origin choice 2)
Symmetry-distinct sites (fractional):
Ce1 0.2500 0.2500 0.2437 [2 per cell]
Sn1 0.2500 0.2500 0.8744 [2 per cell]
Sn2 0.2500 0.7500 0.5000 [2 per cell]
Pt1 0.2500 0.2500 0.6301 [2 per cell]
Pt2 0.2500 0.7500 0.0000 [2 per cell]